Computed, not measured: a relaxed KTbP4O12 crystal at the PBE-GGA level of DFT.

Computed properties:
* crystal system: monoclinic
* piezoelectric modulus e_max: 0.444 C/m²
* space group: No. 4

Cell: 7.356 8.450 7.976 Å, 90.00 91.50 90.00°
Positions (direct):
K (0.233, 0.000, 0.283)
K (0.767, 0.500, 0.717)
Tb (0.262, 0.312, 0.758)
Tb (0.738, 0.812, 0.242)
P (0.066, 0.938, 0.908)
P (0.113, 0.560, 0.397)
P (0.402, 0.731, 0.901)
P (0.495, 0.464, 0.382)
P (0.505, 0.964, 0.618)
P (0.598, 0.231, 0.099)
P (0.887, 0.060, 0.603)
P (0.934, 0.438, 0.092)
O (0.024, 0.715, 0.353)
O (0.035, 0.423, 0.274)
O (0.068, 0.408, 0.957)
O (0.108, 0.501, 0.574)
O (0.179, 0.084, 0.928)
O (0.192, 0.783, 0.893)
O (0.321, 0.573, 0.339)
O (0.340, 0.068, 0.617)
O (0.409, 0.568, 0.828)
O (0.465, 0.368, 0.537)
O (0.481, 0.762, 0.074)
O (0.490, 0.350, 0.221)
O (0.510, 0.850, 0.779)
O (0.519, 0.262, 0.926)
O (0.535, 0.868, 0.463)
O (0.591, 0.068, 0.172)
O (0.660, 0.568, 0.383)
O (0.679, 0.073, 0.661)
O (0.808, 0.283, 0.107)
O (0.821, 0.584, 0.072)
O (0.892, 0.001, 0.426)
O (0.932, 0.908, 0.043)
O (0.965, 0.923, 0.726)
O (0.976, 0.215, 0.647)

---

Computed, not measured: a relaxed KThP3O10 crystal at the PBE-GGA level of DFT.

Computed properties:
* crystal system: orthorhombic
* space group: No. 19

Cell: 8.331 10.141 10.359 Å, 90.00 90.00 90.00°
Positions (direct):
K (0.154, 0.013, 0.074)
K (0.346, 0.987, 0.574)
K (0.654, 0.487, 0.926)
K (0.846, 0.513, 0.426)
Th (0.111, 0.497, 0.098)
Th (0.389, 0.503, 0.598)
Th (0.611, 0.003, 0.902)
Th (0.889, 0.997, 0.402)
P (0.025, 0.621, 0.761)
P (0.199, 0.270, 0.375)
P (0.228, 0.748, 0.364)
P (0.272, 0.252, 0.864)
P (0.301, 0.730, 0.875)
P (0.475, 0.379, 0.261)
P (0.525, 0.879, 0.239)
P (0.699, 0.230, 0.625)
P (0.728, 0.752, 0.636)
P (0.772, 0.248, 0.136)
P (0.801, 0.770, 0.125)
P (0.975, 0.121, 0.739)
O (0.009, 0.534, 0.879)
O (0.095, 0.557, 0.642)
O (0.102, 0.369, 0.295)
O (0.122, 0.863, 0.405)
O (0.129, 0.132, 0.378)
O (0.130, 0.750, 0.797)
O (0.147, 0.181, 0.762)
O (0.147, 0.641, 0.284)
O (0.175, 0.303, 0.979)
O (0.244, 0.323, 0.508)
O (0.256, 0.677, 0.008)
O (0.325, 0.697, 0.479)
O (0.353, 0.359, 0.784)
O (0.353, 0.819, 0.262)
O (0.370, 0.250, 0.297)
O (0.371, 0.868, 0.878)
O (0.378, 0.137, 0.905)
O (0.398, 0.631, 0.795)
O (0.405, 0.443, 0.142)
O (0.491, 0.466, 0.379)
O (0.509, 0.966, 0.121)
O (0.595, 0.943, 0.358)
O (0.602, 0.131, 0.705)
O (0.622, 0.637, 0.595)
O (0.629, 0.368, 0.622)
O (0.630, 0.750, 0.203)
O (0.647, 0.319, 0.238)
O (0.647, 0.859, 0.716)
O (0.675, 0.197, 0.021)
O (0.744, 0.177, 0.492)
O (0.756, 0.823, 0.992)
O (0.825, 0.803, 0.521)
O (0.853, 0.141, 0.216)
O (0.853, 0.681, 0.738)
O (0.870, 0.250, 0.703)
O (0.871, 0.632, 0.122)
O (0.878, 0.363, 0.095)
O (0.898, 0.869, 0.205)
O (0.905, 0.057, 0.858)
O (0.991, 0.034, 0.621)

---

Computed, not measured: a relaxed KTiPO5 crystal at the PBE-GGA level of DFT.

Computed properties:
* crystal system: orthorhombic
* space group: No. 33

Cell: 12.930 6.516 10.423 Å, 90.00 90.00 90.00°
Positions (direct):
K (0.105, 0.226, 0.000)
K (0.116, 0.797, 0.740)
K (0.384, 0.297, 0.240)
K (0.395, 0.726, 0.500)
K (0.605, 0.274, 0.000)
K (0.616, 0.703, 0.740)
K (0.884, 0.203, 0.240)
K (0.895, 0.774, 0.500)
Ti (0.130, 0.512, 0.368)
Ti (0.222, 0.748, 0.095)
Ti (0.278, 0.248, 0.595)
Ti (0.370, 0.012, 0.868)
Ti (0.630, 0.988, 0.368)
Ti (0.722, 0.752, 0.095)
Ti (0.778, 0.252, 0.595)
Ti (0.870, 0.488, 0.868)
P (0.026, 0.327, 0.627)
P (0.179, 0.017, 0.350)
P (0.321, 0.517, 0.850)
P (0.474, 0.827, 0.127)
P (0.526, 0.173, 0.627)
P (0.679, 0.483, 0.350)
P (0.821, 0.983, 0.850)
P (0.974, 0.673, 0.127)
O (0.010, 0.424, 0.760)
O (0.041, 0.502, 0.527)
O (0.068, 0.807, 0.082)
O (0.104, 0.203, 0.339)
O (0.122, 0.823, 0.397)
O (0.125, 0.190, 0.629)
O (0.194, 0.541, 0.205)
O (0.229, 0.563, 0.942)
O (0.229, 0.982, 0.215)
O (0.245, 0.460, 0.455)
O (0.255, 0.960, 0.955)
O (0.271, 0.063, 0.442)
O (0.271, 0.482, 0.715)
O (0.306, 0.041, 0.705)
O (0.375, 0.690, 0.129)
O (0.378, 0.323, 0.897)
O (0.396, 0.703, 0.839)
O (0.432, 0.307, 0.582)
O (0.459, 0.002, 0.027)
O (0.490, 0.924, 0.260)
O (0.510, 0.076, 0.760)
O (0.541, 0.998, 0.527)
O (0.568, 0.693, 0.082)
O (0.604, 0.297, 0.339)
O (0.622, 0.677, 0.397)
O (0.625, 0.310, 0.629)
O (0.694, 0.959, 0.205)
O (0.729, 0.518, 0.215)
O (0.729, 0.937, 0.942)
O (0.745, 0.040, 0.455)
O (0.755, 0.540, 0.955)
O (0.771, 0.018, 0.715)
O (0.771, 0.437, 0.442)
O (0.806, 0.459, 0.705)
O (0.875, 0.810, 0.129)
O (0.878, 0.177, 0.897)
O (0.896, 0.797, 0.839)
O (0.932, 0.193, 0.582)
O (0.959, 0.498, 0.027)
O (0.990, 0.576, 0.260)

---

Computed, not measured: a relaxed KTiPO5 crystal at the PBE-GGA level of DFT.

Computed properties:
* crystal system: orthorhombic
* space group: No. 33

Cell: 12.985 6.493 10.704 Å, 90.00 90.00 90.00°
Positions (direct):
K (0.106, 0.201, 0.000)
K (0.124, 0.780, 0.745)
K (0.376, 0.280, 0.245)
K (0.394, 0.701, 0.500)
K (0.606, 0.299, 0.000)
K (0.624, 0.720, 0.745)
K (0.876, 0.220, 0.245)
K (0.894, 0.799, 0.500)
Ti (0.129, 0.500, 0.439)
Ti (0.246, 0.764, 0.189)
Ti (0.254, 0.264, 0.689)
Ti (0.371, 0.000, 0.939)
Ti (0.629, 0.000, 0.439)
Ti (0.746, 0.736, 0.189)
Ti (0.754, 0.236, 0.689)
Ti (0.871, 0.500, 0.939)
P (0.002, 0.340, 0.696)
P (0.180, 0.003, 0.447)
P (0.320, 0.503, 0.947)
P (0.498, 0.840, 0.196)
P (0.502, 0.160, 0.696)
P (0.680, 0.497, 0.447)
P (0.820, 0.997, 0.947)
P (0.998, 0.660, 0.196)
O (0.011, 0.533, 0.319)
O (0.015, 0.489, 0.586)
O (0.094, 0.801, 0.175)
O (0.098, 0.201, 0.716)
O (0.112, 0.814, 0.476)
O (0.113, 0.194, 0.421)
O (0.224, 0.463, 0.576)
O (0.224, 0.548, 0.324)
O (0.248, 0.463, 0.833)
O (0.248, 0.540, 0.063)
O (0.252, 0.040, 0.563)
O (0.252, 0.963, 0.333)
O (0.276, 0.048, 0.824)
O (0.276, 0.963, 0.076)
O (0.387, 0.694, 0.921)
O (0.388, 0.314, 0.976)
O (0.402, 0.701, 0.216)
O (0.406, 0.301, 0.675)
O (0.485, 0.989, 0.086)
O (0.489, 0.033, 0.819)
O (0.511, 0.967, 0.319)
O (0.515, 0.011, 0.586)
O (0.594, 0.699, 0.175)
O (0.598, 0.299, 0.716)
O (0.612, 0.686, 0.476)
O (0.613, 0.306, 0.421)
O (0.724, 0.037, 0.576)
O (0.724, 0.952, 0.324)
O (0.748, 0.037, 0.833)
O (0.748, 0.960, 0.063)
O (0.752, 0.460, 0.563)
O (0.752, 0.537, 0.333)
O (0.776, 0.452, 0.824)
O (0.776, 0.537, 0.076)
O (0.887, 0.806, 0.921)
O (0.888, 0.186, 0.976)
O (0.902, 0.799, 0.216)
O (0.906, 0.199, 0.675)
O (0.985, 0.511, 0.086)
O (0.989, 0.467, 0.819)

---

The DFT formation energy results, record by record, are as follows: -282; -297; -293; -294 kJ per mole of atoms.